# In3Bi r2SCAN relaxed
# Calculated formation energy, eV per atom: 0.0442
# Total magnetization, Bohr magnetons per cell: 0.000
data_In3Bi
_space_group_name_H-M_alt 'P 1'
_space_group_IT_number 1
_space_group_name_Hall 'P 1'
_cell_length_a 4.8508
_cell_length_b 4.8508
_cell_length_c 4.8508
_cell_angle_alpha 90.00
_cell_angle_beta 90.00
_cell_angle_gamma 90.00
loop_
_atom_site_label
_atom_site_fract_x
_atom_site_fract_y
_atom_site_fract_z
In1 0.0000 0.5000 0.5000
In2 0.5000 0.0000 0.5000
In3 0.5000 0.5000 0.0000
Bi1 0.0000 0.0000 0.0000



# Sr5In2Bi6 r2SCAN relaxed
# Calculated formation energy, eV per atom: -0.8276
# Total magnetization, Bohr magnetons per cell: 0.000
data_Sr5In2Bi6
_space_group_name_H-M_alt 'P 1'
_space_group_IT_number 1
_space_group_name_Hall 'P 1'
_cell_length_a 4.7818
_cell_length_b 7.9219
_cell_length_c 24.9467
_cell_angle_alpha 90.00
_cell_angle_beta 90.00
_cell_angle_gamma 90.00
loop_
_atom_site_label
_atom_site_fract_x
_atom_site_fract_y
_atom_site_fract_z
Sr1 0.5000 0.0000 0.0000
Sr2 0.5000 0.7743 0.2454
Sr3 0.5000 0.9642 0.4110
Sr4 0.5000 0.2743 0.2546
Sr5 0.5000 0.4642 0.0890
Sr6 0.5000 0.0358 0.5890
Sr7 0.5000 0.7257 0.7454
Sr8 0.5000 0.5000 0.5000
Sr9 0.5000 0.2257 0.7546
Sr10 0.5000 0.5358 0.9110
In1 0.0000 0.1787 0.8796
In2 0.0000 0.8213 0.1204
In3 0.0000 0.3213 0.3796
In4 0.0000 0.6787 0.6204
Bi1 0.5000 0.5394 0.3645
Bi2 0.0000 0.6950 0.0029
Bi3 0.5000 0.4606 0.6355
Bi4 0.0000 0.1950 0.4971
Bi5 0.0000 0.3050 0.9971
Bi6 0.0000 0.9854 0.6884
Bi7 0.0000 0.0146 0.3116
Bi8 0.0000 0.8050 0.5029
Bi9 0.5000 0.0394 0.1355
Bi10 0.5000 0.9606 0.8645
Bi11 0.0000 0.4854 0.8116
Bi12 0.0000 0.5146 0.1884



# Bi4Ir r2SCAN relaxed
# Calculated formation energy, eV per atom: -0.0064
# Total magnetization, Bohr magnetons per cell: 0.000
data_Bi4Ir
_space_group_name_H-M_alt 'P 1'
_space_group_IT_number 1
_space_group_name_Hall 'P 1'
_cell_length_a 7.5555
_cell_length_b 15.3526
_cell_length_c 15.3526
_cell_angle_alpha 117.36
_cell_angle_beta 99.44
_cell_angle_gamma 99.44
loop_
_atom_site_label
_atom_site_fract_x
_atom_site_fract_y
_atom_site_fract_z
Bi1 0.3716 0.4106 0.1167
Bi2 0.2549 0.8833 0.2939
Bi3 0.9610 0.7061 0.5894
Bi4 0.3716 0.1167 0.4106
Bi5 0.9610 0.5894 0.7061
Bi6 0.2549 0.2939 0.8833
Bi7 0.6284 0.5894 0.8833
Bi8 0.7451 0.1167 0.7061
Bi9 0.0390 0.2939 0.4106
Bi10 0.6284 0.8833 0.5894
Bi11 0.0390 0.4106 0.2939
Bi12 0.7451 0.7061 0.1167
Bi13 0.3168 0.6335 0.1273
Bi14 0.1895 0.8727 0.5062
Bi15 0.6833 0.4938 0.3665
Bi16 0.3168 0.1273 0.6335
Bi17 0.6833 0.3665 0.4938
Bi18 0.1895 0.5062 0.8727
Bi19 0.6832 0.3665 0.8727
Bi20 0.8105 0.1273 0.4938
Bi21 0.3167 0.5062 0.6335
Bi22 0.6832 0.8727 0.3665
Bi23 0.3167 0.6335 0.5062
Bi24 0.8105 0.4938 0.1273
Bi25 0.7764 0.1697 0.1697
Bi26 0.6067 0.8303 0.0000
Bi27 0.6067 0.0000 0.8303
Bi28 0.2236 0.8303 0.8303
Bi29 0.3933 0.1697 0.0000
Bi30 0.3933 0.0000 0.1697
Bi31 0.5605 0.7321 0.7321
Bi32 0.8283 0.2679 0.0000
Bi33 0.8283 0.0000 0.2679
Bi34 0.4395 0.2679 0.2679
Bi35 0.1717 0.7321 0.0000
Bi36 0.1717 0.0000 0.7321
Ir1 0.3309 0.8309 0.6618
Ir2 0.6691 0.3382 0.1691
Ir3 0.5000 0.8309 0.1691
Ir4 0.3309 0.6618 0.8309
Ir5 0.5000 0.1691 0.8309
Ir6 0.6691 0.1691 0.3382
Ir7 0.5000 0.5000 0.0000
Ir8 0.5000 0.0000 0.5000
Ir9 0.0000 0.5000 0.5000



# K3Bi r2SCAN relaxed
# Calculated formation energy, eV per atom: -0.4869
# Offset from the most stable computed form, meV per atom: 14
# Total magnetization, Bohr magnetons per cell: 0.000
data_K3Bi
_space_group_name_H-M_alt 'P 1'
_space_group_IT_number 1
_space_group_name_Hall 'P 1'
_cell_length_a 6.0983
_cell_length_b 6.0983
_cell_length_c 6.0983
_cell_angle_alpha 60.00
_cell_angle_beta 60.00
_cell_angle_gamma 60.00
loop_
_atom_site_label
_atom_site_fract_x
_atom_site_fract_y
_atom_site_fract_z
K1 0.2500 0.2500 0.2500
K2 0.7500 0.7500 0.7500
K3 0.5000 0.5000 0.5000
Bi1 0.0000 0.0000 0.0000



# K3Bi r2SCAN relaxed
# Calculated formation energy, eV per atom: -0.5008
# Offset from the most stable computed form, meV per atom: 0
# Total magnetization, Bohr magnetons per cell: 0.000
data_K3Bi
_space_group_name_H-M_alt 'P 1'
_space_group_IT_number 1
_space_group_name_Hall 'P 1'
_cell_length_a 6.1794
_cell_length_b 6.1794
_cell_length_c 10.9745
_cell_angle_alpha 90.00
_cell_angle_beta 90.00
_cell_angle_gamma 120.00
loop_
_atom_site_label
_atom_site_fract_x
_atom_site_fract_y
_atom_site_fract_z
K1 0.3333 0.6667 0.9181
K2 0.6667 0.3333 0.4181
K3 0.0000 0.0000 0.2500
K4 0.6667 0.3333 0.0819
K5 0.0000 0.0000 0.7500
K6 0.3333 0.6667 0.5819
Bi1 0.6667 0.3333 0.7500
Bi2 0.3333 0.6667 0.2500



# KBi r2SCAN relaxed
# Calculated formation energy, eV per atom: -0.4759
# Total magnetization, Bohr magnetons per cell: 0.000
data_KBi
_space_group_name_H-M_alt 'P 1'
_space_group_IT_number 1
_space_group_name_Hall 'P 1'
_cell_length_a 7.3072
_cell_length_b 13.6082
_cell_length_c 14.4304
_cell_angle_alpha 113.35
_cell_angle_beta 90.00
_cell_angle_gamma 90.00
loop_
_atom_site_label
_atom_site_fract_x
_atom_site_fract_y
_atom_site_fract_z
K1 0.1395 0.5533 0.8493
K2 0.6395 0.9467 0.1507
K3 0.8605 0.4467 0.1507
K4 0.3605 0.0533 0.8493
K5 0.4272 0.6912 0.6541
K6 0.9272 0.8088 0.3459
K7 0.5728 0.3088 0.3459
K8 0.0728 0.1912 0.6541
K9 0.1994 0.5377 0.3957
K10 0.6994 0.9623 0.6043
K11 0.8006 0.4623 0.6043
K12 0.3006 0.0377 0.3957
K13 0.3817 0.6469 0.1202
K14 0.8817 0.8531 0.8798
K15 0.6183 0.3531 0.8798
K16 0.1183 0.1469 0.1202
Bi1 0.2032 0.8874 0.5787
Bi2 0.7032 0.6126 0.4213
Bi3 0.7968 0.1126 0.4213
Bi4 0.2968 0.3874 0.5787
Bi5 0.4352 0.7726 0.3925
Bi6 0.9352 0.7274 0.6075
Bi7 0.5648 0.2274 0.6075
Bi8 0.0648 0.2726 0.3925
Bi9 0.1277 0.8712 0.1107
Bi10 0.6277 0.6288 0.8893
Bi11 0.8723 0.1288 0.8893
Bi12 0.3723 0.3712 0.1107
Bi13 0.8702 0.6835 0.0746
Bi14 0.3702 0.8165 0.9254
Bi15 0.1298 0.3165 0.9254
Bi16 0.6298 0.1835 0.0746



# K3Bi r2SCAN relaxed
# Calculated formation energy, eV per atom: -0.5012
# Offset from the most stable computed form, meV per atom: 0
# Total magnetization, Bohr magnetons per cell: 0.000
data_K3Bi
_space_group_name_H-M_alt 'P 1'
_space_group_IT_number 1
_space_group_name_Hall 'P 1'
_cell_length_a 10.7213
_cell_length_b 10.7213
_cell_length_c 10.9753
_cell_angle_alpha 90.00
_cell_angle_beta 90.00
_cell_angle_gamma 120.00
loop_
_atom_site_label
_atom_site_fract_x
_atom_site_fract_y
_atom_site_fract_z
K1 0.0000 0.0000 0.7847
K2 0.0000 0.0000 0.2847
K3 0.6667 0.3333 0.2308
K4 0.3333 0.6667 0.7308
K5 0.6667 0.3333 0.7308
K6 0.3333 0.6667 0.2308
K7 0.3109 0.3109 0.0825
K8 0.0000 0.3109 0.5825
K9 0.3109 0.0000 0.5825
K10 0.6891 0.0000 0.0825
K11 0.0000 0.6891 0.0825
K12 0.6891 0.6891 0.5825
K13 0.3537 0.3537 0.4182
K14 0.0000 0.3537 0.9182
K15 0.3537 0.0000 0.9182
K16 0.6463 0.0000 0.4182
K17 0.0000 0.6463 0.4182
K18 0.6463 0.6463 0.9182
Bi1 0.6682 0.6682 0.2505
Bi2 0.0000 0.6682 0.7505
Bi3 0.6682 0.0000 0.7505
Bi4 0.3318 0.0000 0.2505
Bi5 0.0000 0.3318 0.2505
Bi6 0.3318 0.3318 0.7505



# KBi2 r2SCAN relaxed
# Calculated formation energy, eV per atom: -0.3914
# Total magnetization, Bohr magnetons per cell: 0.000
data_KBi2
_space_group_name_H-M_alt 'P 1'
_space_group_IT_number 1
_space_group_name_Hall 'P 1'
_cell_length_a 6.7162
_cell_length_b 6.7162
_cell_length_c 6.7162
_cell_angle_alpha 60.00
_cell_angle_beta 60.00
_cell_angle_gamma 60.00
loop_
_atom_site_label
_atom_site_fract_x
_atom_site_fract_y
_atom_site_fract_z
K1 0.6250 0.6250 0.6250
K2 0.3750 0.3750 0.3750
Bi1 0.5000 0.0000 0.0000
Bi2 0.0000 0.5000 0.0000
Bi3 0.0000 0.0000 0.5000
Bi4 0.0000 0.0000 0.0000